P:
# Rb3Ac PBE relaxed
# **Spin magnetization**: 0.1632 μB per atom
# **Theoretical density**: 2.77 Mg/m³
data_Rb3Ac
_space_group_name_H-M_alt 'P 63/m m c'
_space_group_IT_number 194
_space_group_name_Hall '-P 6c 2c'
_cell_length_a 9.3077
_cell_length_b 9.3077
_cell_length_c 7.7194
_cell_angle_alpha 90.00
_cell_angle_beta 90.00
_cell_angle_gamma 120.00
loop_
_atom_site_label
_atom_site_type_symbol
_atom_site_fract_x
_atom_site_fract_y
_atom_site_fract_z
Rb1 Rb 0.1705 0.3410 0.2500
Ac1 Ac 0.3333 0.6667 0.7500


Q:
# Rb3Ac PBE relaxed
# **Spin magnetization**: 0.0480 μB per atom
# **Theoretical density**: 2.80 Mg/m³
data_Rb3Ac
_space_group_name_H-M_alt 'I 4/m m m'
_space_group_IT_number 139
_space_group_name_Hall '-I 4 2'
_cell_length_a 6.3420
_cell_length_b 6.3420
_cell_length_c 14.2613
_cell_angle_alpha 90.00
_cell_angle_beta 90.00
_cell_angle_gamma 90.00
loop_
_atom_site_label
_atom_site_type_symbol
_atom_site_fract_x
_atom_site_fract_y
_atom_site_fract_z
Rb1 Rb 0.0000 0.0000 0.0000
Rb2 Rb 0.0000 0.5000 0.2500
Ac1 Ac 0.0000 0.0000 0.5000


The winner here is P, beating the second structure by 6 meV per atom.